Record 1
VASP calculation (PBE) on crystalline K3W2Cl9 at its relaxed geometry.

Computed properties:
Calculated formation energy ... -1.6982 eV/atom
MP2020-corrected energy ... -139.3 eV/cell
Space-group type ... P6_3/m, No. 176
Total energy ... -4.58 eV/atom
Density ... 3422 kg/m3

a = 7.4333 Å, b = 7.4333 Å, c = 16.3052 Å
α = 90.00°, β = 90.00°, γ = 120.00°
Atoms (fractional coordinates):
K 0.0000 0.0000 0.2500
K 0.0000 0.0000 0.7500
K 0.3333 0.6667 0.0711
K 0.3333 0.6667 0.4289
K 0.6667 0.3333 0.5711
K 0.6667 0.3333 0.9289
W 0.3333 0.6667 0.6771
W 0.3333 0.6667 0.8229
W 0.6667 0.3333 0.1771
W 0.6667 0.3333 0.3229
Cl 0.0072 0.4391 0.2500
Cl 0.1214 0.3593 0.5964
Cl 0.1214 0.3593 0.9036
Cl 0.2379 0.8786 0.5964
Cl 0.2379 0.8786 0.9036
Cl 0.3593 0.2379 0.0964
Cl 0.3593 0.2379 0.4036
Cl 0.4318 0.9928 0.2500
Cl 0.4391 0.4318 0.7500
Cl 0.5609 0.5682 0.2500
Cl 0.5682 0.0072 0.7500
Cl 0.6407 0.7621 0.5964
Cl 0.6407 0.7621 0.9036
Cl 0.7621 0.1214 0.0964
Cl 0.7621 0.1214 0.4036
Cl 0.8786 0.6407 0.0964
Cl 0.8786 0.6407 0.4036
Cl 0.9928 0.5609 0.7500


Record 2
VASP calculation (PBE) on crystalline Cs2Mn3S4 at its relaxed geometry.

Computed properties:
Calculated formation energy ... -1.0205 eV/atom
MP2020-corrected energy ... -110.0 eV/cell
Polymorph energy (0 for the lowest one) ... 0.0000 eV per atom
Space-group type ... Ibam, No. 72
Total energy ... -5.89 eV/atom
Density ... 3648 kg/m3

a = 9.6976 Å, b = 9.6976 Å, c = 9.6976 Å
α = 143.17°, β = 105.96°, γ = 85.68°
Atoms (fractional coordinates):
Cs 0.1202 0.2372 0.3574
Cs 0.3798 0.7372 0.1170
Cs 0.6202 0.2628 0.8830
Cs 0.8798 0.7628 0.6426
Mn 0.0249 0.2500 0.7749
Mn 0.2500 0.7500 0.5000
Mn 0.4751 0.2500 0.2251
Mn 0.5249 0.7500 0.7749
Mn 0.7500 0.2500 0.5000
Mn 0.9751 0.7500 0.2251
S 0.0211 0.4398 0.1485
S 0.2087 0.0602 0.5813
S 0.2913 0.8726 0.8515
S 0.4789 0.6274 0.4187
S 0.5211 0.3726 0.5813
S 0.7087 0.1274 0.1485
S 0.7913 0.9398 0.4187
S 0.9789 0.5602 0.8515


Record 3
VASP calculation (PBE) on crystalline Re3O10 at its relaxed geometry.

Computed properties:
Calculated formation energy ... -1.0732 eV/atom
MP2020-corrected energy ... -100.8 eV/cell
Space-group type ... C2, No. 5
Total energy ... -7.63 eV/atom
Density ... 5492 kg/m3

a = 5.2980 Å, b = 5.2980 Å, c = 8.4005 Å
α = 105.90°, β = 105.90°, γ = 90.25°
Atoms (fractional coordinates):
Re 0.0000 0.0000 0.0000
Re 0.1477 0.3206 0.4643
Re 0.6794 0.8523 0.5357
O 0.0253 0.6631 0.0395
O 0.0389 0.2181 0.2210
O 0.2603 0.2372 0.9614
O 0.3369 0.9747 0.9605
O 0.4125 0.0857 0.4969
O 0.4145 0.5855 0.5000
O 0.7628 0.7397 0.0386
O 0.7819 0.9611 0.7790
O 0.9142 0.0858 0.5000
O 0.9143 0.5875 0.5031


Record 4
VASP calculation (PBE) on crystalline Li3TiB2O6 at its relaxed geometry.

Computed properties:
Calculated formation energy ... -2.7280 eV/atom
MP2020-corrected energy ... -178.8 eV/cell
Polymorph energy (0 for the lowest one) ... 0.0262 eV per atom
Space-group type ... P-1, No. 2
Total energy ... -7.11 eV/atom
Density ... 2465 kg/m3

a = 5.0843 Å, b = 6.4121 Å, c = 7.9723 Å
α = 105.06°, β = 90.03°, γ = 90.68°
Atoms (fractional coordinates):
Li 0.1674 0.2441 0.3902
Li 0.1732 0.5277 0.7420
Li 0.3257 0.4009 0.0745
Li 0.6743 0.5991 0.9255
Li 0.8268 0.4723 0.2580
Li 0.8326 0.7559 0.6098
Ti 0.3462 0.0481 0.7328
Ti 0.6538 0.9519 0.2672
B 0.1665 0.8219 0.0897
B 0.3376 0.6629 0.4248
B 0.6624 0.3371 0.5752
B 0.8335 0.1781 0.9103
O 0.1098 0.1881 0.9090
O 0.2058 0.5054 0.3101
O 0.2256 0.7691 0.5866
O 0.2848 0.9855 0.2204
O 0.3080 0.6745 0.9717
O 0.3993 0.2758 0.6029
O 0.6007 0.7242 0.3971
O 0.6920 0.3255 0.0283
O 0.7152 0.0145 0.7796
O 0.7744 0.2309 0.4134
O 0.7942 0.4946 0.6899
O 0.8902 0.8119 0.0910


Record 5
VASP calculation (PBE) on crystalline Al2S3O12 at its relaxed geometry.

Computed properties:
Calculated formation energy ... -2.3351 eV/atom
MP2020-corrected energy ... -237.9 eV/cell
Polymorph energy (0 for the lowest one) ... 0.0000 eV per atom
Space-group type ... R-3, No. 148
Total energy ... -6.51 eV/atom
Density ... 2742 kg/m3

a = 8.6141 Å, b = 8.6141 Å, c = 8.6141 Å
α = 56.40°, β = 56.40°, γ = 56.40°
Atoms (fractional coordinates):
Al 0.1442 0.1442 0.1442
Al 0.3517 0.3517 0.3517
Al 0.6483 0.6483 0.6483
Al 0.8558 0.8558 0.8558
S 0.0367 0.4607 0.7513
S 0.2487 0.9633 0.5393
S 0.4607 0.7513 0.0367
S 0.5393 0.2487 0.9633
S 0.7513 0.0367 0.4607
S 0.9633 0.5393 0.2487
O 0.0084 0.6229 0.7905
O 0.1007 0.8931 0.7333
O 0.1069 0.2667 0.8993
O 0.1539 0.5189 0.2323
O 0.1877 0.4704 0.5493
O 0.2095 0.9916 0.3771
O 0.2323 0.1539 0.5189
O 0.2667 0.8993 0.1069
O 0.3771 0.2095 0.9916
O 0.4507 0.8123 0.5296
O 0.4704 0.5493 0.1877
O 0.4811 0.7677 0.8461
O 0.5189 0.2323 0.1539
O 0.5296 0.4507 0.8123
O 0.5493 0.1877 0.4704
O 0.6229 0.7905 0.0084
O 0.7333 0.1007 0.8931
O 0.7677 0.8461 0.4811
O 0.7905 0.0084 0.6229
O 0.8123 0.5295 0.4507
O 0.8461 0.4811 0.7677
O 0.8931 0.7333 0.1007
O 0.8993 0.1069 0.2667
O 0.9916 0.3771 0.2095


Record 6
VASP calculation (PBE) on crystalline Sn3O4 at its relaxed geometry.

Computed properties:
Calculated formation energy ... -1.4786 eV/atom
MP2020-corrected energy ... -168.7 eV/cell
Polymorph energy (0 for the lowest one) ... 0.1008 eV per atom
Space-group type ... P4/mnc, No. 128
Total energy ... -5.63 eV/atom
Density ... 5041 kg/m3

a = 8.6441 Å, b = 8.6441 Å, c = 7.4082 Å
α = 90.00°, β = 90.00°, γ = 90.00°
Atoms (fractional coordinates):
Sn 0.0000 0.0000 0.1924
Sn 0.0000 0.0000 0.8076
Sn 0.1562 0.2364 0.5000
Sn 0.2364 0.8438 0.5000
Sn 0.2636 0.3438 0.0000
Sn 0.3438 0.7364 0.0000
Sn 0.5000 0.5000 0.3076
Sn 0.5000 0.5000 0.6924
Sn 0.6562 0.2636 0.0000
Sn 0.7364 0.6562 0.0000
Sn 0.7636 0.1562 0.5000
Sn 0.8438 0.7636 0.5000
O 0.0425 0.7862 0.3189
O 0.0425 0.7862 0.6811
O 0.2138 0.0425 0.3189
O 0.2138 0.0425 0.6811
O 0.2862 0.5425 0.1811
O 0.2862 0.5425 0.8189
O 0.4575 0.2862 0.1811
O 0.4575 0.2862 0.8189
O 0.5425 0.7138 0.1811
O 0.5425 0.7138 0.8189
O 0.7138 0.4575 0.1811
O 0.7138 0.4575 0.8189
O 0.7862 0.9575 0.3189
O 0.7862 0.9575 0.6811
O 0.9575 0.2138 0.3189
O 0.9575 0.2138 0.6811


Record 7
VASP calculation (PBE) on crystalline Er2CuPd at its relaxed geometry.

Computed properties:
Calculated formation energy ... -0.6057 eV/atom
Space-group type ... Fm-3m, No. 225
Total energy ... -5.21 eV/atom
Density ... 10152 kg/m3

a = 4.8868 Å, b = 4.8868 Å, c = 4.8868 Å
α = 60.00°, β = 60.00°, γ = 60.00°
Atoms (fractional coordinates):
Er 0.2500 0.2500 0.2500
Er 0.7500 0.7500 0.7500
Cu 0.0000 0.0000 0.0000
Pd 0.5000 0.5000 0.5000


Record 8
VASP calculation (PBE) on crystalline MnReB2 at its relaxed geometry.

Computed properties:
Calculated formation energy ... -0.3437 eV/atom
Space-group type ... Pmc2_1, No. 26
Total energy ... -9.08 eV/atom
Density ... 11685 kg/m3

a = 3.0268 Å, b = 4.3204 Å, c = 5.7111 Å
α = 90.00°, β = 90.00°, γ = 90.00°
Atoms (fractional coordinates):
Mn 0.0000 0.1316 0.0000
Mn 0.0000 0.8684 0.5000
Re 0.5000 0.3666 0.6389
Re 0.5000 0.6334 0.1389
B 0.0000 0.3398 0.3469
B 0.0000 0.6602 0.8469
B 0.5000 0.1234 0.2799
B 0.5000 0.8766 0.7799


Record 9
VASP calculation (PBE) on crystalline Mg5Cd at its relaxed geometry.

Computed properties:
Calculated formation energy ... -0.0597 eV/atom
Space-group type ... Amm2, No. 38
Total energy ... -1.55 eV/atom
Density ... 2885 kg/m3

a = 5.1134 Å, b = 8.3574 Å, c = 8.3574 Å
α = 22.15°, β = 90.00°, γ = 90.00°
Atoms (fractional coordinates):
Mg 0.0000 0.0000 0.0000
Mg 0.0000 0.3312 0.3312
Mg 0.5000 0.1109 0.1109
Mg 0.5000 0.4432 0.4432
Mg 0.5000 0.7768 0.7768
Cd 0.0000 0.6662 0.6662


Record 10
VASP calculation (PBE) on crystalline CsSe at its relaxed geometry.

Computed properties:
Calculated formation energy ... -0.7818 eV/atom
MP2020-corrected energy ... -6.0 eV/cell
Space-group type ... Pm-3m, No. 221
Total energy ... -2.74 eV/atom
Density ... 4250 kg/m3

a = 4.3582 Å, b = 4.3582 Å, c = 4.3582 Å
α = 90.00°, β = 90.00°, γ = 90.00°
Atoms (fractional coordinates):
Cs 0.0000 0.0000 0.0000
Se 0.5000 0.5000 0.5000


Record 11
VASP calculation (PBE) on crystalline TbMn2 at its relaxed geometry.

Computed properties:
Calculated formation energy ... 0.0832 eV/atom
Space-group type ... P6_3/mmc, No. 194
Total energy ... -7.57 eV/atom
Density ... 8724 kg/m3

a = 5.3765 Å, b = 5.3765 Å, c = 8.1741 Å
α = 90.00°, β = 90.00°, γ = 120.00°
Atoms (fractional coordinates):
Tb 0.3333 0.6667 0.0591
Tb 0.3333 0.6667 0.4409
Tb 0.6667 0.3333 0.5591
Tb 0.6667 0.3333 0.9409
Mn 0.0000 0.0000 0.0000
Mn 0.0000 0.0000 0.5000
Mn 0.1646 0.3293 0.7500
Mn 0.1646 0.8354 0.7500
Mn 0.3293 0.1646 0.2500
Mn 0.6707 0.8354 0.7500
Mn 0.8354 0.1646 0.2500
Mn 0.8354 0.6707 0.2500


Record 12
VASP calculation (PBE) on crystalline Tl2SI2 at its relaxed geometry.

Computed properties:
Calculated formation energy ... -0.1513 eV/atom
MP2020-corrected energy ... -12.7 eV/cell
Space-group type ... P4/mmm, No. 123
Total energy ... -2.28 eV/atom
Density ... 2708 kg/m3

a = 5.5497 Å, b = 5.5497 Å, c = 13.8304 Å
α = 90.00°, β = 90.00°, γ = 90.00°
Atoms (fractional coordinates):
Tl 0.0000 0.0000 0.1805
Tl 0.0000 0.0000 0.8194
S 0.0000 0.0000 0.0000
I 0.0000 0.0000 0.3897
I 0.0000 0.0000 0.6103


Question: total energy of number 12 (Tl2SI2)?
Answer: -2.28 eV/atom